This record from Materials Project describes an optimized crystal structure of La5Sn4. The functional is meta-GGA r2SCAN.

POSCAR file:
```
La5Sn4
1.0
8.5588 0.0000 0.0000
0.0000 16.3310 0.0000
0.0000 0.0000 8.6557
La Sn
20 16
Direct
0.0270 0.1010 0.1798
0.0270 0.3990 0.1798
0.1191 0.6170 0.3387
0.1191 0.8830 0.3387
0.2094 0.2500 0.5035
0.2906 0.7500 0.0035
0.3809 0.1170 0.8387
0.3809 0.3830 0.8387
0.4730 0.6010 0.6798
0.4730 0.8990 0.6798
0.5270 0.1010 0.3202
0.5270 0.3990 0.3202
0.6191 0.6170 0.1613
0.6191 0.8830 0.1613
0.7094 0.2500 0.9965
0.7906 0.7500 0.4965
0.8809 0.1170 0.6613
0.8809 0.3830 0.6613
0.9730 0.6010 0.8202
0.9730 0.8990 0.8202
0.0827 0.2500 0.8884
0.1724 0.7500 0.6375
0.2211 0.0441 0.5316
0.2211 0.4559 0.5316
0.2789 0.5441 0.0316
0.2789 0.9559 0.0316
0.3276 0.2500 0.1375
0.4173 0.7500 0.3884
0.5827 0.2500 0.6116
0.6724 0.7500 0.8625
0.7211 0.0441 0.9684
0.7211 0.4559 0.9684
0.7789 0.5441 0.4684
0.7789 0.9559 0.4684
0.8276 0.2500 0.3625
0.9173 0.7500 0.1116
```

## Properties
The calculation puts the energy of formation at -0.938 eV per atom. Its symmetry is Pnma, No. 62.

This record from Materials Project describes an optimized crystal structure of Ti2MnTc. The functional is meta-GGA r2SCAN.

POSCAR file:
```
Ti2MnTc
1.0
0.0000 3.0890 3.0890
3.0890 0.0000 3.0890
3.0890 3.0890 0.0000
Ti Mn Tc
2 1 1
Direct
0.2500 0.2500 0.2500
0.7500 0.7500 0.7500
0.0000 0.0000 0.0000
0.5000 0.5000 0.5000
```

## Properties
The calculation puts the energy of formation at -0.377 eV per atom. Its symmetry is Fm-3m, No. 225.

This record from Materials Project describes an optimized crystal structure of PrTi2Al20. The functional is meta-GGA r2SCAN.

POSCAR file:
```
PrTi2Al20
1.0
0.0000 7.3074 7.3074
7.3074 0.0000 7.3074
7.3074 7.3074 0.0000
Pr Ti Al
2 4 40
Direct
0.1250 0.1250 0.1250
0.8750 0.8750 0.8750
0.0000 0.5000 0.5000
0.5000 0.0000 0.5000
0.5000 0.5000 0.0000
0.5000 0.5000 0.5000
0.0000 0.0000 0.0000
0.0000 0.0000 0.5000
0.0000 0.5000 0.0000
0.0558 0.3260 0.3260
0.0558 0.3260 0.7922
0.0558 0.7922 0.3260
0.2078 0.6740 0.6740
0.2078 0.6740 0.9442
0.2078 0.9442 0.6740
0.2369 0.2369 0.5131
0.2369 0.5131 0.2369
0.2369 0.5131 0.5131
0.3260 0.0558 0.3260
0.3260 0.0558 0.7922
0.3260 0.3260 0.0558
0.3260 0.3260 0.7922
0.3260 0.7922 0.0558
0.3260 0.7922 0.3260
0.4869 0.4869 0.7631
0.4869 0.7631 0.4869
0.4869 0.7631 0.7631
0.5000 0.0000 0.0000
0.5131 0.2369 0.2369
0.5131 0.2369 0.5131
0.5131 0.5131 0.2369
0.6740 0.2078 0.6740
0.6740 0.2078 0.9442
0.6740 0.6740 0.2078
0.6740 0.6740 0.9442
0.6740 0.9442 0.2078
0.6740 0.9442 0.6740
0.7631 0.4869 0.4869
0.7631 0.4869 0.7631
0.7631 0.7631 0.4869
0.7922 0.0558 0.3260
0.7922 0.3260 0.0558
0.7922 0.3260 0.3260
0.9442 0.2078 0.6740
0.9442 0.6740 0.2078
0.9442 0.6740 0.6740
```

## Properties
The calculation puts the energy of formation at -0.242 eV per atom. Its symmetry is Fd-3m, No. 227.